No. 1
The following is a GGA-PBE calculation of a relaxed Zr7P4 crystal, from Materials Project.

Computed properties:
Calculated formation energy, meV/atom: -1167.9
VASP energy, eV per atom: -8.58

CIF file:
```
data_Zr7P4
_chemical_formula_sum 'Zr28 P16'
_symmetry_space_group_name_H-M 'C 1 2/m 1'
_symmetry_Int_Tables_number 12
_cell_length_a 15.927
_cell_length_b 3.629
_cell_length_c 14.823
_cell_angle_alpha 90.00
_cell_angle_beta 104.89
_cell_angle_gamma 90.00
loop_
_symmetry_equiv_pos_as_xyz
'x,y,z'
'-x,-y,-z'
'-x,y,-z'
'x,-y,z'
'x+1/2,y+1/2,z'
'-x+1/2,-y+1/2,-z'
'-x+1/2,y+1/2,-z'
'x+1/2,-y+1/2,z'
loop_
_atom_site_label
_atom_site_type_symbol
_atom_site_fract_x
_atom_site_fract_y
_atom_site_fract_z
Zr1 Zr 0.000 0.000 0.000
Zr2 Zr 0.000 0.500 0.500
Zr3 Zr 0.004 0.000 0.668
Zr4 Zr 0.068 0.500 0.169
Zr5 Zr 0.160 0.500 0.971
Zr6 Zr 0.176 0.000 0.541
Zr7 Zr 0.196 0.000 0.311
Zr8 Zr 0.205 0.000 0.797
P1 P 0.063 0.000 0.852
P2 P 0.125 0.500 0.398
P3 P 0.130 0.500 0.660
P4 P 0.177 0.000 0.112
```

No. 2
The following is a GGA-PBE calculation of a relaxed Zr14P9 crystal, from Materials Project.

Computed properties:
Calculated formation energy, meV/atom: -1235.4
VASP energy, eV per atom: -8.56

CIF file:
```
data_Zr14P9
_chemical_formula_sum 'Zr56 P36'
_symmetry_space_group_name_H-M 'P n n m'
_symmetry_Int_Tables_number 58
_cell_length_a 16.832
_cell_length_b 27.783
_cell_length_c 3.702
_cell_angle_alpha 90.00
_cell_angle_beta 90.00
_cell_angle_gamma 90.00
loop_
_symmetry_equiv_pos_as_xyz
'x,y,z'
'-x,-y,-z'
'-x,-y,z'
'x,y,-z'
'x+1/2,-y+1/2,-z+1/2'
'-x+1/2,y+1/2,z+1/2'
'-x+1/2,y+1/2,-z+1/2'
'x+1/2,-y+1/2,z+1/2'
loop_
_atom_site_label
_atom_site_type_symbol
_atom_site_fract_x
_atom_site_fract_y
_atom_site_fract_z
Zr1 Zr 0.000 0.000 0.000
Zr2 Zr 0.000 0.500 0.500
Zr3 Zr 0.013 0.196 0.500
Zr4 Zr 0.019 0.677 0.500
Zr5 Zr 0.051 0.580 0.000
Zr6 Zr 0.069 0.924 0.500
Zr7 Zr 0.099 0.105 0.000
Zr8 Zr 0.119 0.756 0.000
Zr9 Zr 0.136 0.469 0.000
Zr10 Zr 0.137 0.353 0.000
Zr11 Zr 0.167 0.262 0.500
Zr12 Zr 0.199 0.990 0.000
Zr13 Zr 0.202 0.858 0.000
Zr14 Zr 0.233 0.687 0.500
Zr15 Zr 0.245 0.584 0.000
P1 P 0.047 0.267 0.000
P2 P 0.049 0.857 0.000
P3 P 0.063 0.408 0.500
P4 P 0.104 0.033 0.500
P5 P 0.132 0.658 0.000
P6 P 0.156 0.538 0.500
P7 P 0.158 0.165 0.500
P8 P 0.226 0.786 0.500
P9 P 0.231 0.922 0.500
```

No. 3
The following is a GGA-PBE calculation of a relaxed Zr3P crystal, from Materials Project.

Computed properties:
Calculated formation energy, meV/atom: -862.2
VASP energy, eV per atom: -8.63

CIF file:
```
data_Zr3P
_chemical_formula_sum 'Zr24 P8'
_symmetry_space_group_name_H-M 'P 42/n'
_symmetry_Int_Tables_number 86
_cell_length_a 10.859
_cell_length_b 10.859
_cell_length_c 5.381
_cell_angle_alpha 90.00
_cell_angle_beta 90.00
_cell_angle_gamma 90.00
loop_
_symmetry_equiv_pos_as_xyz
'x,y,z'
'-x,-y,-z'
'-y,x+1/2,z+1/2'
'y,-x+1/2,-z+1/2'
'-x+1/2,-y+1/2,z'
'x+1/2,y+1/2,-z'
'y+1/2,-x,z+1/2'
'-y+1/2,x,-z+1/2'
loop_
_atom_site_label
_atom_site_type_symbol
_atom_site_fract_x
_atom_site_fract_y
_atom_site_fract_z
Zr1 Zr 0.035 0.571 0.235
Zr2 Zr 0.113 0.223 0.028
Zr3 Zr 0.143 0.665 0.713
P1 P 0.044 0.209 0.537
```

No. 4
The following is a GGA-PBE calculation of a relaxed ZrP3 crystal, from Materials Project.

Computed properties:
Calculated formation energy, meV/atom: -242.1
VASP energy, eV per atom: -6.44

CIF file:
```
data_ZrP3
_chemical_formula_sum 'Zr2 P6'
_symmetry_space_group_name_H-M 'I 4/m m m'
_symmetry_Int_Tables_number 139
_symmetry_space_group_name_Hall '-I 4 2'
_cell_length_a 3.779
_cell_length_b 3.779
_cell_length_c 9.012
_cell_angle_alpha 90.00
_cell_angle_beta 90.00
_cell_angle_gamma 90.00
loop_
_atom_site_label
_atom_site_type_symbol
_atom_site_fract_x
_atom_site_fract_y
_atom_site_fract_z
Zr1 Zr 0.000 0.000 0.000
P1 P 0.000 0.000 0.500
P2 P 0.000 0.500 0.250
```

No. 5
The following is a GGA-PBE calculation of a relaxed PaSnPd2 crystal, from Materials Project.

Computed properties:
Calculated formation energy, meV/atom: -620.3
VASP energy, eV per atom: -6.59

CIF file:
```
data_PaSnPd2
_chemical_formula_sum 'Pa4 Sn4 Pd8'
_symmetry_space_group_name_H-M 'F m -3 m'
_symmetry_Int_Tables_number 225
_symmetry_space_group_name_Hall '-F 4 2 3'
_cell_length_a 6.879
_cell_length_b 6.879
_cell_length_c 6.879
_cell_angle_alpha 90.00
_cell_angle_beta 90.00
_cell_angle_gamma 90.00
loop_
_atom_site_label
_atom_site_type_symbol
_atom_site_fract_x
_atom_site_fract_y
_atom_site_fract_z
Pa1 Pa 0.000 0.000 0.000
Sn1 Sn 0.000 0.000 0.500
Pd1 Pd 0.250 0.250 0.250
```

No. 6
The following is a GGA-PBE calculation of a relaxed PaTe2Pd crystal, from Materials Project.

Computed properties:
Calculated formation energy, meV/atom: -515.6
VASP energy, eV per atom: -5.76

CIF file:
```
data_PaTe2Pd
_chemical_formula_sum 'Pa4 Te8 Pd4'
_symmetry_space_group_name_H-M 'F m -3 m'
_symmetry_Int_Tables_number 225
_symmetry_space_group_name_Hall '-F 4 2 3'
_cell_length_a 7.302
_cell_length_b 7.302
_cell_length_c 7.302
_cell_angle_alpha 90.00
_cell_angle_beta 90.00
_cell_angle_gamma 90.00
loop_
_atom_site_label
_atom_site_type_symbol
_atom_site_fract_x
_atom_site_fract_y
_atom_site_fract_z
Pa1 Pa 0.000 0.000 0.000
Te1 Te 0.250 0.250 0.250
Pd1 Pd 0.000 0.000 0.500
```